[1]
DFT (PBE with a Hubbard U) results for a relaxed structure of Fe2CuP4O14.

Computed properties:
M_tot	18.00	Bohr magnetons per cell
SG	No. 14

a = 5.2568 Å, b = 6.7024 Å, c = 17.0020 Å
α = 68.97°, β = 90.00°, γ = 90.00°
Fractional positions:
O: 0.4986 0.9676 0.6182
O: 0.2223 0.3553 0.3304
O: 0.4623 0.4720 0.0885
O: 0.4325 0.6199 0.3825
O: 0.7777 0.6447 0.6696
O: 0.2039 0.2561 0.9881
O: 0.0675 0.6199 0.8825
O: 0.2777 0.3553 0.8304
O: 0.7774 0.8696 0.2580
O: 0.5014 0.0324 0.3818
O: 0.7039 0.7439 0.5119
O: 0.2961 0.2561 0.4881
O: 0.9767 0.0139 0.6196
O: 0.9986 0.0324 0.8818
O: 0.2774 0.1304 0.2420
O: 0.7961 0.7439 0.0119
O: 0.0014 0.9676 0.1182
O: 0.7223 0.6447 0.1696
O: 0.5675 0.3801 0.6175
O: 0.4767 0.9861 0.8804
O: 0.0233 0.9861 0.3804
O: 0.7226 0.8696 0.7580
O: 0.5377 0.5280 0.9115
O: 0.0377 0.4720 0.5885
O: 0.5233 0.0139 0.1196
O: 0.2226 0.1304 0.7420
O: 0.9623 0.5280 0.4115
O: 0.9325 0.3801 0.1175
Fe: 0.7481 0.7830 0.3801
Fe: 0.2481 0.2170 0.1199
Fe: 0.7519 0.7830 0.8801
Fe: 0.2519 0.2170 0.6199
P: 0.7300 0.5509 0.0943
P: 0.7472 0.8857 0.1681
P: 0.7528 0.8857 0.6681
P: 0.2528 0.1143 0.8319
P: 0.2300 0.4491 0.4057
P: 0.2700 0.4491 0.9057
P: 0.2472 0.1143 0.3319
P: 0.7700 0.5509 0.5943
Cu: 0.0000 0.0000 0.0000
Cu: 0.5000 0.0000 0.5000

***

[2]
DFT (PBE with a Hubbard U) results for a relaxed structure of Ba5Er8Ni4O21.

Computed properties:
M_tot	8.00	Bohr magnetons per cell
SG	No. 87

a = 10.1113 Å, b = 10.1113 Å, c = 10.1113 Å
α = 94.55°, β = 94.55°, γ = 147.27°
Fractional positions:
O: 0.0120 0.9015 0.4059
O: 0.3691 0.9619 0.3310
O: 0.2980 0.4286 0.2262
O: 0.7020 0.5714 0.7738
O: 0.5044 0.3939 0.4059
O: 0.0381 0.3691 0.4072
O: 0.3939 0.9880 0.8895
O: 0.9282 0.7020 0.1306
O: 0.9619 0.6309 0.5928
O: 0.5000 0.5000 0.0000
O: 0.2024 0.0718 0.7738
O: 0.7976 0.9282 0.2262
O: 0.0718 0.2980 0.8694
O: 0.4286 0.2024 0.1306
O: 0.4956 0.6061 0.5941
O: 0.9015 0.4956 0.8895
O: 0.6061 0.0120 0.1105
O: 0.5714 0.7976 0.8694
O: 0.9880 0.0985 0.5941
O: 0.0985 0.5044 0.1105
O: 0.6309 0.0381 0.6690
Ni: 0.9592 0.2455 0.2046
Ni: 0.0408 0.7545 0.7954
Ni: 0.7545 0.9592 0.7137
Ni: 0.2455 0.0408 0.2863
Er: 0.5885 0.3570 0.9455
Er: 0.2500 0.8330 0.0830
Er: 0.4115 0.6430 0.0545
Er: 0.3570 0.4115 0.7686
Er: 0.8330 0.7500 0.5829
Er: 0.1670 0.2500 0.4171
Er: 0.6430 0.5885 0.2314
Er: 0.7500 0.1670 0.9170
Ba: 0.1384 0.5375 0.6759
Ba: 0.8616 0.4625 0.3241
Ba: 0.5375 0.8616 0.3992
Ba: 0.0000 0.0000 0.0000
Ba: 0.4625 0.1384 0.6008

***

[3]
DFT (PBE with a Hubbard U) results for a relaxed structure of NiF3.

Computed properties:
M_tot	4.00	Bohr magnetons per cell
SG	No. 2

a = 10.7546 Å, b = 6.1743 Å, c = 3.2176 Å
α = 121.05°, β = 135.17°, γ = 56.43°
Fractional positions:
F: 0.1320 0.6060 0.9241
F: 0.4671 0.5150 0.2210
F: 0.8680 0.3940 0.0759
F: 0.5329 0.4850 0.7790
F: 0.1354 0.1046 0.9251
F: 0.8646 0.8954 0.0749
Ni: 0.0000 0.5000 0.0000
Ni: 0.0000 0.0000 0.0000

***

[4]
DFT (PBE with a Hubbard U) results for a relaxed structure of CaAl2Si3W3O10.

Computed properties:
M_tot	28.00	Bohr magnetons per cell
SG	No. 9

a = 10.7208 Å, b = 10.7208 Å, c = 10.1785 Å
α = 84.50°, β = 84.50°, γ = 143.98°
Fractional positions:
W: 0.3146 0.0273 0.0916
W: 0.7735 0.8737 0.7751
W: 0.0273 0.3146 0.5916
W: 0.6182 0.5214 0.0166
W: 0.5214 0.6182 0.5166
W: 0.8737 0.7735 0.2751
Si: 0.1565 0.0008 0.5267
Si: 0.7519 0.4967 0.6973
Si: 0.4967 0.7519 0.1973
Si: 0.7341 0.0901 0.3703
Si: 0.0901 0.7341 0.8703
Si: 0.0008 0.1565 0.0267
O: 0.1629 0.9341 0.8924
O: 0.1606 0.0858 0.6527
O: 0.9341 0.1629 0.3923
O: 0.7287 0.9317 0.0717
O: 0.6066 0.0411 0.5152
O: 0.9317 0.7287 0.5717
O: 0.8389 0.2930 0.2515
O: 0.0858 0.1606 0.1527
O: 0.3248 0.6942 0.1379
O: 0.0851 0.1475 0.8890
O: 0.0411 0.6066 0.0152
O: 0.0863 0.3753 0.9916
O: 0.8691 0.5535 0.8194
O: 0.5535 0.8691 0.3194
O: 0.2930 0.8389 0.7515
O: 0.3753 0.0863 0.4916
O: 0.3956 0.5316 0.2735
O: 0.6942 0.3248 0.6379
O: 0.5316 0.3956 0.7735
O: 0.1475 0.0851 0.3890
Ca: 0.6446 0.3240 0.2697
Ca: 0.3240 0.6446 0.7697
Al: 0.1508 0.2420 0.3041
Al: 0.0743 0.4891 0.1022
Al: 0.2420 0.1508 0.8041
Al: 0.4891 0.0743 0.6022

***

One value per record, in order, for E: -0.257; -0.259; -0.134; -0.252 hartree per atom.